1.
! NaMn2O4 PBE+U relaxed; values from VASP
! energy above the most stable polymorph in this dataset	1.39	kcal/mol of atoms
&SYSTEM
  ibrav = 0, nat = 14, ntyp = 3
/
ATOMIC_SPECIES
Na 22.99 Na.upf
O 16.00 O.upf
Mn 54.94 Mn.upf
CELL_PARAMETERS angstrom
4.327 -4.115 1.775
1.463 3.174 5.157
-5.852 -1.701 -1.290
ATOMIC_POSITIONS angstrom
Na 0.685 -3.143 1.975
Na 0.000 0.000 0.000
O 1.961 -1.597 2.834
O 0.188 1.628 4.298
Mn 3.238 -2.042 4.453
O -0.435 0.290 2.117
O -2.285 0.911 3.747
O -0.455 -0.824 4.502
O -1.418 -2.581 2.094
Mn -1.852 -0.835 2.921
O -3.249 -0.846 1.339
Mn -2.583 -2.422 0.342
Mn 1.074 0.015 3.566
O 2.583 -0.260 5.015

=====

2.
! NaMn2O4 PBE+U relaxed; values from VASP
! energy above the most stable polymorph in this dataset	2.06	kcal/mol of atoms
&SYSTEM
  ibrav = 0, nat = 14, ntyp = 3
/
ATOMIC_SPECIES
Mn 54.94 Mn.upf
O 16.00 O.upf
Na 22.99 Na.upf
CELL_PARAMETERS angstrom
3.515 1.367 -3.549
-4.998 -0.966 0.952
-1.398 9.457 2.257
ATOMIC_POSITIONS angstrom
Mn 1.049 9.822 -0.836
O 0.968 4.565 -1.601
O -0.742 0.200 -1.298
O -4.781 1.553 1.217
Mn 1.546 6.456 -1.640
Na -1.986 2.319 -0.261
Mn -3.930 0.035 0.497
O -4.257 8.053 1.920
O 1.376 1.804 -2.260
O -1.440 4.929 -0.170
Na -0.895 7.538 -0.079
Mn -4.427 3.402 1.300
O 1.901 8.304 -1.557
O -3.849 5.292 1.262

=====

3.
! NaMn2O4 PBE+U relaxed; values from VASP
! energy above the most stable polymorph in this dataset	0.00	kcal/mol of atoms
&SYSTEM
  ibrav = 0, nat = 28, ntyp = 3
/
ATOMIC_SPECIES
O 16.00 O.upf
Mn 54.94 Mn.upf
Na 22.99 Na.upf
CELL_PARAMETERS angstrom
-2.286 0.606 -1.713
-0.840 -8.740 -1.970
-6.958 -1.319 8.817
ATOMIC_POSITIONS angstrom
O -6.851 -6.616 3.068
O -9.055 -6.224 6.147
Mn -8.354 -4.386 5.862
Na -4.704 -6.576 0.218
O -1.218 -0.571 0.179
O -3.840 -0.189 1.324
O -7.788 -2.503 5.774
Mn -1.730 -5.067 -0.729
O -4.658 -8.207 2.068
Mn -4.777 -3.825 1.288
Mn -6.809 -1.622 7.267
O -6.244 -9.264 3.810
O -5.426 -1.246 3.066
O -3.233 -2.837 2.066
O -3.941 -5.377 2.113
Na -5.380 -2.876 4.916
O -6.142 -4.076 3.021
O -6.549 -5.031 5.714
Mn -6.633 -8.350 2.164
O -2.295 -6.949 -0.640
O -1.029 -3.229 -1.013
Na -3.049 -1.972 -0.362
Mn -3.275 -7.831 -2.133
Na -7.034 -7.480 5.496
Mn -5.307 -5.628 3.846
O -3.535 -4.422 -0.580
Mn -3.451 -1.103 2.970
O -8.866 -8.882 4.955

=====

4.
! NaMn2O4 PBE+U relaxed; values from VASP
! energy above the most stable polymorph in this dataset	0.69	kcal/mol of atoms
&SYSTEM
  ibrav = 0, nat = 14, ntyp = 3
/
ATOMIC_SPECIES
O 16.00 O.upf
Mn 54.94 Mn.upf
Na 22.99 Na.upf
CELL_PARAMETERS angstrom
0.001 6.020 0.001
2.969 -3.009 4.599
5.939 0.001 0.000
ATOMIC_POSITIONS angstrom
O 1.693 3.011 0.830
Mn 7.425 0.001 3.449
O 5.939 1.258 3.496
Mn 2.970 4.516 1.150
Na 5.939 3.013 2.210
O 2.969 1.257 3.403
Mn 2.970 1.506 1.150
Mn 4.453 0.001 3.450
O 4.247 3.011 0.830
O 2.970 -1.255 3.405
O 1.693 0.000 1.471
O 4.247 0.000 1.470
O 5.940 -1.254 3.498
Na 5.940 0.000 0.091

=====

5.
A plane-wave DFT calculation with PBE+U was carried out for an optimized crystal structure of Na5Mn2O8. Values from VASP.

Cell and atoms, written as Quantum ESPRESSO input:
```
&SYSTEM
  ibrav = 0, nat = 120, ntyp = 3
/
ATOMIC_SPECIES
Na 22.99 Na.upf
Mn 54.94 Mn.upf
O 16.00 O.upf
CELL_PARAMETERS angstrom
-2.540 2.918 -9.743
0.884 -10.083 -3.250
-14.631 -2.291 3.128
ATOMIC_POSITIONS angstrom
Na -7.703 -3.176 -9.995
Na -4.633 -2.314 -5.056
Mn -10.790 -10.950 -3.557
O -5.646 -9.469 -1.901
O -7.903 -4.118 -0.766
Na 0.310 -9.462 -5.211
Na -15.919 -5.306 -5.376
O -5.786 -2.709 0.246
Na -12.689 -6.502 -9.184
O -4.954 -9.478 -5.119
Na -12.515 -8.817 -1.855
Na -3.687 -2.547 -10.853
O -14.187 -8.347 -0.071
O -4.246 -1.525 -2.668
O -11.865 -1.695 -1.808
O -14.889 -7.434 -9.173
Mn 0.191 -2.533 -0.884
O -6.411 -6.525 -5.472
Na -9.832 -3.085 -1.524
Mn -11.110 -6.049 -1.465
O -3.580 -6.825 -3.432
O -12.068 -4.916 -5.116
O -15.888 -0.809 -6.843
O -5.242 -4.630 -9.603
O -14.265 -3.618 -3.456
Na -2.952 -8.778 -1.928
O -7.939 -8.045 -7.249
Mn -5.177 -3.407 -8.401
Na -4.095 -6.916 -5.908
O -8.384 -5.338 -9.099
Na -13.335 -0.677 -7.937
O -14.292 -9.508 -3.168
O -4.219 -4.540 -4.749
O -4.422 -7.760 -8.058
O -12.707 -2.631 -6.433
Mn -4.291 -0.050 -1.798
O -3.482 -7.941 -10.593
Na -14.830 -2.302 -5.377
Na -11.654 -7.142 -4.810
Na -1.458 -7.154 -4.488
Na -3.772 -0.638 -8.010
O -13.901 -5.049 -7.100
O -3.625 -3.243 -7.822
Na -8.712 -4.178 -6.916
Na -10.538 -1.630 -6.295
Mn -12.475 -4.322 -6.584
O -2.023 -5.838 -6.410
Na -6.977 0.524 -3.891
Na -9.389 1.134 -6.195
O -9.876 -2.931 -4.394
Na -6.234 -2.736 -2.108
Na -10.054 -6.720 -7.757
O -2.386 -4.407 -2.765
O -12.041 -7.930 -7.197
Na -16.597 0.006 -4.655
O -0.399 -8.647 -3.022
O -7.208 -7.254 -1.563
O -1.995 0.052 -6.697
O -5.572 -1.905 -9.150
O -9.171 -6.210 -5.645
O -2.100 -1.109 -9.794
Na -9.236 -8.304 -2.556
O -11.109 -9.286 -3.828
Na -13.111 -3.598 -0.823
O -11.333 0.022 -4.746
O -2.283 -9.059 -5.690
O -1.398 -2.022 -0.692
O -6.343 -3.668 -7.241
Na -0.368 -4.150 -4.490
O -10.501 -6.747 -10.112
O -8.348 -1.410 -2.617
Na -6.455 -6.371 -8.341
O -9.945 -5.788 -2.624
O -10.641 0.013 -7.965
O -5.179 -0.170 -6.037
Mn -16.478 -6.923 -8.981
O -5.057 -4.825 -2.194
O -2.105 -4.355 -10.441
Na -6.898 -10.590 -3.670
Na -13.326 -10.609 -5.116
Na -12.192 -2.539 -3.957
O -15.327 -2.503 -1.125
Mn -3.812 -5.134 -3.282
O -14.182 -5.101 0.576
Mn -8.400 -2.160 -4.173
Na -7.051 -1.152 -7.309
Mn -15.685 -3.301 -2.616
Na -12.600 -6.909 0.988
Mn -5.497 1.494 -6.308
O -3.909 -0.362 -0.240
O -8.273 -0.931 -5.355
Na -5.749 -7.826 -3.571
Na -3.176 -5.857 -9.042
O -9.079 -2.202 -8.303
O -11.230 -4.630 -7.671
O -10.715 -7.551 -0.715
O -12.378 -9.094 -9.626
O -12.662 -6.213 -2.043
O -14.418 -7.032 -4.524
Mn -7.094 -3.673 0.673
Na -2.962 1.153 -4.749
O -8.014 -8.525 -4.510
Na -9.310 -9.980 -5.974
Na -1.942 -2.064 -3.026
Na -7.576 -5.278 -2.949
O -10.088 -1.089 0.147
O -1.869 -2.424 -5.342
Mn -0.602 -6.155 -7.250
O -0.960 -6.953 -8.740
O -12.806 -1.515 0.727
Na -8.584 -6.280 0.130
O -11.045 -4.825 -0.263
O -7.116 -3.246 -4.220
Mn -7.888 -7.295 -5.692
Mn -9.193 -5.782 -10.538
O -6.199 -8.367 -10.012
Na -14.345 -7.392 -6.840
O -14.004 -0.396 -4.175
Mn -11.996 -9.406 -8.067
Na -3.598 -2.954 -0.682
```

=====

6.
! NaMnO4 PBE+U relaxed; values from VASP
! energy above the most stable polymorph in this dataset	6.65	kcal/mol of atoms
&SYSTEM
  ibrav = 0, nat = 24, ntyp = 3
/
ATOMIC_SPECIES
Na 22.99 Na.upf
O 16.00 O.upf
Mn 54.94 Mn.upf
CELL_PARAMETERS angstrom
5.482 0.000 0.000
0.000 6.439 0.000
0.000 0.000 11.049
ATOMIC_POSITIONS angstrom
Na 4.111 0.448 7.706
O 3.440 4.883 1.069
O 4.111 3.607 4.273
O 3.440 4.775 6.593
Na 1.370 3.668 8.867
O 1.370 0.388 1.252
Mn 0.000 3.219 5.524
O 1.370 4.232 4.704
O 0.699 1.663 4.456
O 2.042 1.663 4.456
O 1.370 5.426 10.229
O 2.042 1.556 9.980
O 4.783 4.883 1.069
Mn 2.741 0.000 0.000
O 4.111 2.207 6.345
Na 1.370 5.990 3.343
O 4.111 6.051 9.797
O 4.111 1.013 0.820
O 1.370 2.832 6.776
Mn 2.741 3.219 5.524
Mn 0.000 0.000 0.000
Na 4.111 2.771 2.182
O 4.783 4.775 6.593
O 0.699 1.556 9.980

=====

7.
! Na6MnO4 PBE+U relaxed; values from VASP
! energy above the most stable polymorph in this dataset	0.14	kcal/mol of atoms
&SYSTEM
  ibrav = 0, nat = 44, ntyp = 3
/
ATOMIC_SPECIES
Na 22.99 Na.upf
O 16.00 O.upf
Mn 54.94 Mn.upf
CELL_PARAMETERS angstrom
0.000 0.000 5.970
7.773 0.000 0.000
0.000 13.463 0.000
ATOMIC_POSITIONS angstrom
Na 5.514 5.792 5.819
Na 1.627 12.524 5.819
Na 3.886 12.935 3.836
O 3.886 9.250 2.175
O 6.067 5.472 2.175
Na 2.401 10.362 3.836
Na 1.486 9.833 0.851
O 0.000 4.488 5.394
Na 6.287 3.630 3.836
O 5.592 1.259 5.160
Na 3.886 0.529 0.851
Na 0.000 7.260 0.851
Na 1.486 3.630 3.836
Mn 0.000 4.488 1.470
Mn 0.000 8.975 4.455
Na 0.000 6.203 3.836
Mn 3.886 2.244 4.455
Na 2.259 5.792 5.819
Na 6.287 9.833 0.851
O 0.000 10.945 5.160
Na 3.886 8.611 5.819
Na 5.372 3.102 0.851
Na 0.000 1.879 5.819
O 0.000 8.975 2.409
O 3.886 2.244 2.409
Na 3.886 4.852 2.834
O 5.592 12.204 2.175
O 3.886 11.219 5.394
Na 2.401 3.102 0.851
Na 6.146 0.940 2.834
O 3.886 4.213 5.160
O 6.067 7.991 5.160
O 1.706 7.991 5.160
Na 5.372 10.362 3.836
Na 6.146 12.524 5.819
Na 0.000 11.584 2.834
Na 5.514 7.671 2.834
O 2.181 1.259 5.160
O 1.706 5.472 2.175
Na 1.627 0.940 2.834
Na 2.259 7.671 2.834
Mn 3.886 11.219 1.470
O 0.000 2.518 2.175
O 2.181 12.204 2.175

=====

8.
! NaMn2O4 PBE+U relaxed; values from VASP
! energy above the most stable polymorph in this dataset	0.50	kcal/mol of atoms
&SYSTEM
  ibrav = 0, nat = 42, ntyp = 3
/
ATOMIC_SPECIES
O 16.00 O.upf
Mn 54.94 Mn.upf
Na 22.99 Na.upf
CELL_PARAMETERS angstrom
-6.153 0.964 2.409
-2.367 -1.613 6.032
0.464 13.212 8.915
ATOMIC_POSITIONS angstrom
O -2.536 0.080 6.234
Mn -4.472 7.283 6.310
O -5.141 8.618 7.977
O -3.049 11.425 12.485
O -3.347 2.760 6.594
Mn -2.277 10.419 10.974
Mn -1.479 7.582 10.492
O -6.712 11.713 14.147
O -4.222 5.460 7.127
Mn -1.388 11.948 13.497
Mn -3.390 8.879 8.664
O -6.993 7.435 11.443
Mn -3.460 4.460 5.607
O -1.735 4.780 6.355
O -2.421 12.011 9.934
O -2.775 7.734 7.191
Mn -3.225 13.261 11.623
Na -4.623 7.757 11.504
Na -1.125 11.281 8.075
Na -4.682 3.786 8.778
O -5.978 4.449 10.614
Na -0.451 4.058 4.485
O -1.591 9.314 9.475
Mn -2.506 6.008 8.076
O -3.237 7.318 9.763
O -6.296 0.196 7.874
Mn -6.561 10.087 15.215
O -4.986 12.861 10.857
Mn -4.569 2.921 3.301
Mn -2.660 1.618 5.127
Na -5.408 11.045 12.318
O -2.167 8.722 11.965
O -2.400 4.336 9.097
O -4.413 1.355 4.403
O -2.777 3.358 4.105
O -5.788 8.842 13.520
O -5.211 4.029 4.818
O -6.970 2.882 8.154
O -2.033 0.465 3.666
Na -5.783 1.783 6.158
O -4.025 9.986 10.180
Mn -7.743 4.128 9.848

=====

| no. | E_form (meV per atom) |
| --- | --- |
| 1 | -1920.4 |
| 2 | -1891.5 |
| 3 | -1980.9 |
| 4 | -1950.9 |
| 5 | -1672.7 |
| 6 | -1099.2 |
| 7 | -1551.0 |
| 8 | -1959.3 |